1.
# Li5Ti6FeO16

A relaxed structure of Li5Ti6FeO16 (PBE with a Hubbard U, the Materials Project).

Summary:
E in eV per atom: -7.76
Space-group type: P2_1, No. 4
Relative energy among the computed polymorphs in meV per atom: 0
ΔE_f in eV/atom: -3.07

a = 8.4385 Å, b = 8.4367 Å, c = 8.4387 Å
α = 90.00°, β = 90.04°, γ = 90.00°
Fractional positions:
Li (0.0016, 0.0000, 0.2497)
Li (0.1241, 0.3780, 0.3749)
Li (0.2519, 0.7566, 0.4969)
Li (0.3754, 0.6280, 0.8744)
Li (0.4967, 0.0043, 0.7458)
Li (0.5033, 0.5043, 0.2542)
Li (0.6246, 0.1280, 0.1256)
Li (0.7481, 0.2566, 0.5031)
Li (0.8759, 0.8780, 0.6251)
Li (0.9984, 0.5000, 0.7503)
Ti (0.1157, 0.1286, 0.6091)
Ti (0.1343, 0.8632, 0.8626)
Ti (0.1365, 0.6261, 0.1281)
Ti (0.3638, 0.3892, 0.6164)
Ti (0.3772, 0.8737, 0.1202)
Ti (0.3793, 0.1339, 0.3780)
Ti (0.6207, 0.6339, 0.6220)
Ti (0.6228, 0.3737, 0.8798)
Ti (0.6362, 0.8892, 0.3836)
Ti (0.8635, 0.1261, 0.8719)
Ti (0.8657, 0.3632, 0.1374)
Ti (0.8843, 0.6286, 0.3909)
Fe (0.2465, 0.2507, 0.9981)
Fe (0.7535, 0.7507, 0.0019)
O (0.1062, 0.6277, 0.3549)
O (0.1136, 0.3922, 0.1177)
O (0.1153, 0.1184, 0.8690)
O (0.1238, 0.6461, 0.8905)
O (0.1249, 0.8964, 0.6448)
O (0.1410, 0.1269, 0.3922)
O (0.1416, 0.8617, 0.1128)
O (0.1438, 0.3608, 0.6274)
O (0.3579, 0.6437, 0.1255)
O (0.3593, 0.8796, 0.8933)
O (0.3623, 0.1408, 0.6075)
O (0.3687, 0.1185, 0.1369)
O (0.3760, 0.3610, 0.3916)
O (0.3879, 0.3718, 0.8675)
O (0.3904, 0.6108, 0.6264)
O (0.3915, 0.8946, 0.3547)
O (0.6085, 0.3946, 0.6453)
O (0.6096, 0.1108, 0.3736)
O (0.6121, 0.8718, 0.1325)
O (0.6240, 0.8610, 0.6084)
O (0.6313, 0.6185, 0.8631)
O (0.6377, 0.6408, 0.3925)
O (0.6407, 0.3796, 0.1067)
O (0.6421, 0.1437, 0.8745)
O (0.8562, 0.8608, 0.3726)
O (0.8584, 0.3617, 0.8872)
O (0.8590, 0.6269, 0.6078)
O (0.8751, 0.3964, 0.3552)
O (0.8762, 0.1461, 0.1095)
O (0.8847, 0.6184, 0.1310)
O (0.8864, 0.8922, 0.8823)
O (0.8938, 0.1277, 0.6451)


2.
# VBiPb2O6

A relaxed structure of VBiPb2O6 (PBE with a Hubbard U, the Materials Project).

Summary:
E in eV per atom: -6.34
Space-group type: P2_1/c, No. 14
Relative energy among the computed polymorphs in meV per atom: 0
ΔE_f in eV/atom: -1.92

a = 7.9093 Å, b = 5.8247 Å, c = 30.3580 Å
α = 90.00°, β = 100.32°, γ = 90.00°
Fractional positions:
V (0.1277, 0.2318, 0.4517)
V (0.1277, 0.2682, 0.9517)
V (0.1904, 0.2209, 0.6928)
V (0.1904, 0.2791, 0.1928)
V (0.8096, 0.7209, 0.8072)
V (0.8096, 0.7791, 0.3072)
V (0.8723, 0.7318, 0.0483)
V (0.8723, 0.7682, 0.5483)
Bi (0.3601, 0.7447, 0.3913)
Bi (0.3601, 0.7553, 0.8913)
Bi (0.4319, 0.7465, 0.1494)
Bi (0.4319, 0.7535, 0.6494)
Bi (0.5681, 0.2465, 0.3506)
Bi (0.5681, 0.2535, 0.8506)
Bi (0.6399, 0.2447, 0.1087)
Bi (0.6399, 0.2553, 0.6087)
Pb (0.0832, 0.2156, 0.8242)
Pb (0.0832, 0.2844, 0.3242)
Pb (0.1619, 0.2205, 0.0789)
Pb (0.1619, 0.2795, 0.5789)
Pb (0.3068, 0.7214, 0.7708)
Pb (0.3068, 0.7786, 0.2708)
Pb (0.3531, 0.7475, 0.0261)
Pb (0.3531, 0.7525, 0.5261)
Pb (0.6469, 0.2475, 0.4739)
Pb (0.6469, 0.2525, 0.9739)
Pb (0.6932, 0.2214, 0.7292)
Pb (0.6932, 0.2786, 0.2292)
Pb (0.8381, 0.7205, 0.4211)
Pb (0.8381, 0.7795, 0.9211)
Pb (0.9168, 0.7156, 0.6758)
Pb (0.9168, 0.7844, 0.1758)
O (0.0393, 0.2307, 0.2263)
O (0.0393, 0.2693, 0.7263)
O (0.0942, 0.7278, 0.5502)
O (0.0942, 0.7722, 0.0502)
O (0.1280, 0.5036, 0.1551)
O (0.1280, 0.9964, 0.6551)
O (0.1706, 0.5591, 0.9516)
O (0.1706, 0.9409, 0.4516)
O (0.1845, 0.1389, 0.9042)
O (0.1845, 0.3611, 0.4042)
O (0.1995, 0.0372, 0.1583)
O (0.1995, 0.4628, 0.6583)
O (0.2491, 0.1507, 0.0007)
O (0.2491, 0.3493, 0.5007)
O (0.3168, 0.0133, 0.3340)
O (0.3168, 0.4867, 0.8340)
O (0.3558, 0.5297, 0.3294)
O (0.3558, 0.9703, 0.8294)
O (0.3922, 0.1500, 0.7246)
O (0.3922, 0.3500, 0.2246)
O (0.4100, 0.0206, 0.5925)
O (0.4100, 0.4794, 0.0925)
O (0.4222, 0.5191, 0.5910)
O (0.4222, 0.9809, 0.0910)
O (0.5778, 0.0191, 0.9090)
O (0.5778, 0.4809, 0.4090)
O (0.5900, 0.5206, 0.9075)
O (0.5900, 0.9794, 0.4075)
O (0.6078, 0.6500, 0.7754)
O (0.6078, 0.8500, 0.2754)
O (0.6442, 0.0297, 0.1706)
O (0.6442, 0.4703, 0.6706)
O (0.6832, 0.5133, 0.1660)
O (0.6832, 0.9867, 0.6660)
O (0.7509, 0.6507, 0.4993)
O (0.7509, 0.8493, 0.9993)
O (0.8005, 0.5372, 0.3417)
O (0.8005, 0.9628, 0.8417)
O (0.8155, 0.6389, 0.5958)
O (0.8155, 0.8611, 0.0958)
O (0.8294, 0.0591, 0.5484)
O (0.8294, 0.4409, 0.0484)
O (0.8720, 0.0036, 0.3449)
O (0.8720, 0.4964, 0.8449)
O (0.9058, 0.2278, 0.9498)
O (0.9058, 0.2722, 0.4498)
O (0.9607, 0.7307, 0.2737)
O (0.9607, 0.7693, 0.7737)


3.
# BaV2ZnO7

A relaxed structure of BaV2ZnO7 (PBE with a Hubbard U, the Materials Project).

Summary:
E in eV per atom: -6.88
Space-group type: P2_1/c, No. 14
Relative energy among the computed polymorphs in meV per atom: 0
ΔE_f in eV/atom: -2.54

a = 5.6672 Å, b = 15.4166 Å, c = 8.9494 Å
α = 90.00°, β = 122.39°, γ = 90.00°
Fractional positions:
Ba (0.0699, 0.2153, 0.3546)
Ba (0.0699, 0.2847, 0.8546)
Ba (0.9301, 0.7153, 0.1454)
Ba (0.9301, 0.7847, 0.6454)
V (0.4169, 0.0620, 0.2127)
V (0.4169, 0.4380, 0.7127)
V (0.4186, 0.6338, 0.6669)
V (0.4186, 0.8662, 0.1669)
V (0.5814, 0.1338, 0.8331)
V (0.5814, 0.3662, 0.3331)
V (0.5831, 0.5620, 0.2873)
V (0.5831, 0.9380, 0.7873)
Zn (0.0775, 0.5508, 0.8689)
Zn (0.0775, 0.9492, 0.3689)
Zn (0.9225, 0.0508, 0.6311)
Zn (0.9225, 0.4492, 0.1311)
O (0.2153, 0.1434, 0.7103)
O (0.2153, 0.3566, 0.2103)
O (0.2200, 0.5539, 0.1307)
O (0.2200, 0.9461, 0.6307)
O (0.2403, 0.0520, 0.3208)
O (0.2403, 0.4480, 0.8208)
O (0.2681, 0.7169, 0.5224)
O (0.2681, 0.7831, 0.0224)
O (0.3012, 0.6382, 0.8088)
O (0.3012, 0.8618, 0.3088)
O (0.3144, 0.5284, 0.5588)
O (0.3144, 0.9716, 0.0588)
O (0.3460, 0.1602, 0.1165)
O (0.3460, 0.3398, 0.6165)
O (0.6540, 0.6602, 0.3835)
O (0.6540, 0.8398, 0.8835)
O (0.6856, 0.0284, 0.9412)
O (0.6856, 0.4716, 0.4412)
O (0.6988, 0.1382, 0.6912)
O (0.6988, 0.3618, 0.1912)
O (0.7319, 0.2169, 0.9776)
O (0.7319, 0.2831, 0.4776)
O (0.7597, 0.5520, 0.1792)
O (0.7597, 0.9480, 0.6792)
O (0.7800, 0.0539, 0.3693)
O (0.7800, 0.4461, 0.8693)
O (0.7847, 0.6434, 0.7897)
O (0.7847, 0.8566, 0.2897)


4.
# Li3Fe2P2C2O14

A relaxed structure of Li3Fe2P2C2O14 (PBE with a Hubbard U, the Materials Project).

Summary:
E in eV per atom: -6.83
Space-group type: Pc, No. 7
Relative energy among the computed polymorphs in meV per atom: 4
ΔE_f in eV/atom: -2.18

a = 8.3831 Å, b = 6.4736 Å, c = 10.2764 Å
α = 90.00°, β = 94.94°, γ = 90.00°
Fractional positions:
Li (0.0000, 0.0019, 0.0000)
Li (0.0000, 0.9981, 0.5000)
Li (0.1872, 0.2054, 0.2545)
Li (0.1872, 0.7946, 0.7545)
Li (0.7912, 0.4961, 0.7677)
Li (0.7912, 0.5039, 0.2677)
Fe (0.2352, 0.4973, 0.9796)
Fe (0.2352, 0.5027, 0.4796)
Fe (0.5724, 0.0037, 0.7814)
Fe (0.5724, 0.9963, 0.2814)
P (0.3226, 0.0020, 0.0159)
P (0.3226, 0.9980, 0.5159)
P (0.4794, 0.4931, 0.2420)
P (0.4794, 0.5069, 0.7420)
C (0.8637, 0.0081, 0.2340)
C (0.8637, 0.9919, 0.7340)
C (0.9452, 0.4999, 0.0298)
C (0.9452, 0.5001, 0.5298)
O (0.0036, 0.0326, 0.1964)
O (0.0036, 0.9674, 0.6964)
O (0.0725, 0.4897, 0.1142)
O (0.0725, 0.5103, 0.6142)
O (0.2088, 0.1834, 0.4741)
O (0.2088, 0.8166, 0.9741)
O (0.2105, 0.1890, 0.9781)
O (0.2105, 0.8110, 0.4781)
O (0.3229, 0.4719, 0.3120)
O (0.3229, 0.5281, 0.8120)
O (0.3658, 0.0097, 0.1665)
O (0.3658, 0.9903, 0.6665)
O (0.4254, 0.4992, 0.0940)
O (0.4254, 0.5008, 0.5940)
O (0.4756, 0.0025, 0.4453)
O (0.4756, 0.9975, 0.9453)
O (0.5823, 0.3154, 0.7814)
O (0.5823, 0.6846, 0.2814)
O (0.5944, 0.3096, 0.2742)
O (0.5944, 0.6904, 0.7742)
O (0.7409, 0.0095, 0.6486)
O (0.7409, 0.9905, 0.1486)
O (0.8090, 0.4978, 0.5715)
O (0.8090, 0.5022, 0.0715)
O (0.8307, 0.0005, 0.3555)
O (0.8307, 0.9995, 0.8555)
O (0.9756, 0.4924, 0.4074)
O (0.9756, 0.5076, 0.9074)


Q: Which value of E does entry 4 give?
A: -6.83 eV per atom


Repeat the fourth record exactly.
# Li3Fe2P2C2O14

A relaxed structure of Li3Fe2P2C2O14 (PBE with a Hubbard U, the Materials Project).

Summary:
E in eV per atom: -6.83
Space-group type: Pc, No. 7
Relative energy among the computed polymorphs in meV per atom: 4
ΔE_f in eV/atom: -2.18

a = 8.3831 Å, b = 6.4736 Å, c = 10.2764 Å
α = 90.00°, β = 94.94°, γ = 90.00°
Fractional positions:
Li (0.0000, 0.0019, 0.0000)
Li (0.0000, 0.9981, 0.5000)
Li (0.1872, 0.2054, 0.2545)
Li (0.1872, 0.7946, 0.7545)
Li (0.7912, 0.4961, 0.7677)
Li (0.7912, 0.5039, 0.2677)
Fe (0.2352, 0.4973, 0.9796)
Fe (0.2352, 0.5027, 0.4796)
Fe (0.5724, 0.0037, 0.7814)
Fe (0.5724, 0.9963, 0.2814)
P (0.3226, 0.0020, 0.0159)
P (0.3226, 0.9980, 0.5159)
P (0.4794, 0.4931, 0.2420)
P (0.4794, 0.5069, 0.7420)
C (0.8637, 0.0081, 0.2340)
C (0.8637, 0.9919, 0.7340)
C (0.9452, 0.4999, 0.0298)
C (0.9452, 0.5001, 0.5298)
O (0.0036, 0.0326, 0.1964)
O (0.0036, 0.9674, 0.6964)
O (0.0725, 0.4897, 0.1142)
O (0.0725, 0.5103, 0.6142)
O (0.2088, 0.1834, 0.4741)
O (0.2088, 0.8166, 0.9741)
O (0.2105, 0.1890, 0.9781)
O (0.2105, 0.8110, 0.4781)
O (0.3229, 0.4719, 0.3120)
O (0.3229, 0.5281, 0.8120)
O (0.3658, 0.0097, 0.1665)
O (0.3658, 0.9903, 0.6665)
O (0.4254, 0.4992, 0.0940)
O (0.4254, 0.5008, 0.5940)
O (0.4756, 0.0025, 0.4453)
O (0.4756, 0.9975, 0.9453)
O (0.5823, 0.3154, 0.7814)
O (0.5823, 0.6846, 0.2814)
O (0.5944, 0.3096, 0.2742)
O (0.5944, 0.6904, 0.7742)
O (0.7409, 0.0095, 0.6486)
O (0.7409, 0.9905, 0.1486)
O (0.8090, 0.4978, 0.5715)
O (0.8090, 0.5022, 0.0715)
O (0.8307, 0.0005, 0.3555)
O (0.8307, 0.9995, 0.8555)
O (0.9756, 0.4924, 0.4074)
O (0.9756, 0.5076, 0.9074)


Copy entry 4 word for word.
# Li3Fe2P2C2O14

A relaxed structure of Li3Fe2P2C2O14 (PBE with a Hubbard U, the Materials Project).

Summary:
E in eV per atom: -6.83
Space-group type: Pc, No. 7
Relative energy among the computed polymorphs in meV per atom: 4
ΔE_f in eV/atom: -2.18

a = 8.3831 Å, b = 6.4736 Å, c = 10.2764 Å
α = 90.00°, β = 94.94°, γ = 90.00°
Fractional positions:
Li (0.0000, 0.0019, 0.0000)
Li (0.0000, 0.9981, 0.5000)
Li (0.1872, 0.2054, 0.2545)
Li (0.1872, 0.7946, 0.7545)
Li (0.7912, 0.4961, 0.7677)
Li (0.7912, 0.5039, 0.2677)
Fe (0.2352, 0.4973, 0.9796)
Fe (0.2352, 0.5027, 0.4796)
Fe (0.5724, 0.0037, 0.7814)
Fe (0.5724, 0.9963, 0.2814)
P (0.3226, 0.0020, 0.0159)
P (0.3226, 0.9980, 0.5159)
P (0.4794, 0.4931, 0.2420)
P (0.4794, 0.5069, 0.7420)
C (0.8637, 0.0081, 0.2340)
C (0.8637, 0.9919, 0.7340)
C (0.9452, 0.4999, 0.0298)
C (0.9452, 0.5001, 0.5298)
O (0.0036, 0.0326, 0.1964)
O (0.0036, 0.9674, 0.6964)
O (0.0725, 0.4897, 0.1142)
O (0.0725, 0.5103, 0.6142)
O (0.2088, 0.1834, 0.4741)
O (0.2088, 0.8166, 0.9741)
O (0.2105, 0.1890, 0.9781)
O (0.2105, 0.8110, 0.4781)
O (0.3229, 0.4719, 0.3120)
O (0.3229, 0.5281, 0.8120)
O (0.3658, 0.0097, 0.1665)
O (0.3658, 0.9903, 0.6665)
O (0.4254, 0.4992, 0.0940)
O (0.4254, 0.5008, 0.5940)
O (0.4756, 0.0025, 0.4453)
O (0.4756, 0.9975, 0.9453)
O (0.5823, 0.3154, 0.7814)
O (0.5823, 0.6846, 0.2814)
O (0.5944, 0.3096, 0.2742)
O (0.5944, 0.6904, 0.7742)
O (0.7409, 0.0095, 0.6486)
O (0.7409, 0.9905, 0.1486)
O (0.8090, 0.4978, 0.5715)
O (0.8090, 0.5022, 0.0715)
O (0.8307, 0.0005, 0.3555)
O (0.8307, 0.9995, 0.8555)
O (0.9756, 0.4924, 0.4074)
O (0.9756, 0.5076, 0.9074)


Repeat the third record exactly.
# BaV2ZnO7

A relaxed structure of BaV2ZnO7 (PBE with a Hubbard U, the Materials Project).

Summary:
E in eV per atom: -6.88
Space-group type: P2_1/c, No. 14
Relative energy among the computed polymorphs in meV per atom: 0
ΔE_f in eV/atom: -2.54

a = 5.6672 Å, b = 15.4166 Å, c = 8.9494 Å
α = 90.00°, β = 122.39°, γ = 90.00°
Fractional positions:
Ba (0.0699, 0.2153, 0.3546)
Ba (0.0699, 0.2847, 0.8546)
Ba (0.9301, 0.7153, 0.1454)
Ba (0.9301, 0.7847, 0.6454)
V (0.4169, 0.0620, 0.2127)
V (0.4169, 0.4380, 0.7127)
V (0.4186, 0.6338, 0.6669)
V (0.4186, 0.8662, 0.1669)
V (0.5814, 0.1338, 0.8331)
V (0.5814, 0.3662, 0.3331)
V (0.5831, 0.5620, 0.2873)
V (0.5831, 0.9380, 0.7873)
Zn (0.0775, 0.5508, 0.8689)
Zn (0.0775, 0.9492, 0.3689)
Zn (0.9225, 0.0508, 0.6311)
Zn (0.9225, 0.4492, 0.1311)
O (0.2153, 0.1434, 0.7103)
O (0.2153, 0.3566, 0.2103)
O (0.2200, 0.5539, 0.1307)
O (0.2200, 0.9461, 0.6307)
O (0.2403, 0.0520, 0.3208)
O (0.2403, 0.4480, 0.8208)
O (0.2681, 0.7169, 0.5224)
O (0.2681, 0.7831, 0.0224)
O (0.3012, 0.6382, 0.8088)
O (0.3012, 0.8618, 0.3088)
O (0.3144, 0.5284, 0.5588)
O (0.3144, 0.9716, 0.0588)
O (0.3460, 0.1602, 0.1165)
O (0.3460, 0.3398, 0.6165)
O (0.6540, 0.6602, 0.3835)
O (0.6540, 0.8398, 0.8835)
O (0.6856, 0.0284, 0.9412)
O (0.6856, 0.4716, 0.4412)
O (0.6988, 0.1382, 0.6912)
O (0.6988, 0.3618, 0.1912)
O (0.7319, 0.2169, 0.9776)
O (0.7319, 0.2831, 0.4776)
O (0.7597, 0.5520, 0.1792)
O (0.7597, 0.9480, 0.6792)
O (0.7800, 0.0539, 0.3693)
O (0.7800, 0.4461, 0.8693)
O (0.7847, 0.6434, 0.7897)
O (0.7847, 0.8566, 0.2897)